(1)
A plane-wave DFT calculation with PBE-GGA was carried out for crystalline Na3B5H4O11 at its relaxed geometry.

extended XYZ file:
```
184
Lattice="8.881 0.000 0.000 0.000 18.507 0.000 0.000 0.000 10.978" Properties=species:S:1:pos:R:3 pbc="T T T"
Na 0.591 1.257 1.012
Na 0.591 7.997 6.500
Na 0.728 4.452 0.819
Na 0.728 4.802 6.308
Na 1.086 0.772 6.553
Na 1.086 8.481 1.064
Na 3.354 10.026 6.553
Na 3.354 17.735 1.064
Na 3.712 13.705 0.819
Na 3.712 14.055 6.308
Na 3.850 10.510 1.012
Na 3.850 17.250 6.500
Na 5.031 1.257 4.477
Na 5.031 7.997 9.966
Na 5.169 4.452 4.669
Na 5.169 4.802 10.158
Na 5.527 0.772 9.913
Na 5.527 8.481 4.425
Na 7.794 10.026 9.913
Na 7.794 17.735 4.425
Na 8.153 13.705 4.669
Na 8.153 14.055 10.158
Na 8.290 10.510 4.477
Na 8.290 17.250 9.966
B 0.751 2.909 3.811
B 0.751 6.344 9.300
B 1.129 11.781 0.011
B 1.129 15.980 5.499
B 1.578 12.646 2.394
B 1.578 15.114 7.883
B 1.876 12.656 8.740
B 1.876 15.105 3.251
B 2.194 10.233 9.234
B 2.194 17.528 3.745
B 2.246 0.979 9.234
B 2.246 8.274 3.745
B 2.565 3.402 8.740
B 2.565 5.851 3.251
B 2.863 3.393 2.394
B 2.863 5.861 7.883
B 3.311 2.527 0.011
B 3.311 6.726 5.499
B 3.690 12.163 3.811
B 3.690 15.598 9.300
B 5.191 2.909 1.678
B 5.191 6.344 7.166
B 5.570 11.781 5.478
B 5.570 15.980 10.967
B 6.018 12.646 3.095
B 6.018 15.114 8.583
B 6.316 12.656 7.727
B 6.316 15.105 2.238
B 6.635 10.233 7.232
B 6.635 17.528 1.744
B 6.686 0.979 7.232
B 6.686 8.274 1.744
B 7.005 3.402 7.727
B 7.005 5.851 2.238
B 7.303 3.393 3.095
B 7.303 5.861 8.583
B 7.752 2.527 5.478
B 7.752 6.726 10.967
B 8.130 12.163 1.678
B 8.130 15.598 7.166
H 0.207 1.070 9.309
H 0.207 8.183 3.820
H 1.104 12.598 6.443
H 1.104 15.162 0.954
H 1.369 12.099 4.979
H 1.369 15.662 10.468
H 1.985 0.948 3.167
H 1.985 8.305 8.655
H 2.456 10.202 3.167
H 2.456 17.559 8.655
H 3.071 2.845 4.979
H 3.071 6.408 10.468
H 3.337 3.345 6.443
H 3.337 5.909 0.954
H 4.233 10.324 9.309
H 4.233 17.436 3.820
H 4.648 1.070 7.157
H 4.648 8.183 1.668
H 5.544 12.598 10.024
H 5.544 15.162 4.535
H 5.809 12.099 0.510
H 5.809 15.662 5.999
H 6.425 0.948 2.322
H 6.425 8.305 7.811
H 6.896 10.202 2.322
H 6.896 17.559 7.811
H 7.512 2.845 0.510
H 7.512 6.408 5.999
H 7.777 3.345 10.024
H 7.777 5.909 4.535
H 8.674 10.324 7.157
H 8.674 17.436 1.668
O 0.126 12.462 2.693
O 0.126 15.298 8.182
O 0.338 2.660 5.100
O 0.338 6.593 10.589
O 0.692 12.081 5.712
O 0.692 15.679 0.223
O 0.907 0.533 9.728
O 0.907 8.720 4.239
O 1.289 10.453 10.373
O 1.289 17.307 4.884
O 1.368 12.878 9.990
O 1.368 14.882 4.501
O 1.670 0.080 2.836
O 1.670 9.174 8.325
O 1.892 13.644 7.766
O 1.892 14.116 2.278
O 1.985 11.973 1.180
O 1.985 15.787 6.669
O 2.073 2.171 8.362
O 2.073 7.082 2.873
O 2.117 2.823 3.571
O 2.117 6.430 9.060
O 2.324 12.077 3.571
O 2.324 15.683 9.060
O 2.367 11.425 8.362
O 2.367 16.336 2.873
O 2.456 2.719 1.180
O 2.456 6.534 6.669
O 2.549 4.391 7.766
O 2.549 4.863 2.278
O 2.770 9.333 2.836
O 2.770 18.427 8.325
O 3.072 3.625 9.990
O 3.072 5.629 4.501
O 3.151 1.200 10.373
O 3.151 8.053 4.884
O 3.534 9.787 9.728
O 3.534 17.974 4.239
O 3.748 2.828 5.712
O 3.748 6.426 0.223
O 4.102 11.914 5.100
O 4.102 15.847 10.589
O 4.314 3.209 2.693
O 4.314 6.044 8.182
O 4.567 12.462 2.796
O 4.567 15.298 8.285
O 4.779 2.660 0.389
O 4.779 6.593 5.877
O 5.133 12.081 10.755
O 5.133 15.679 5.266
O 5.347 0.533 6.738
O 5.347 8.720 1.249
O 5.730 10.453 6.094
O 5.730 17.307 0.605
O 5.809 12.878 6.476
O 5.809 14.882 0.987
O 6.110 0.080 2.653
O 6.110 9.174 8.141
O 6.332 13.644 8.700
O 6.332 14.116 3.211
O 6.425 11.973 4.309
O 6.425 15.787 9.798
O 6.514 2.171 8.105
O 6.514 7.082 2.616
O 6.557 2.823 1.918
O 6.557 6.430 7.407
O 6.764 12.077 1.918
O 6.764 15.683 7.407
O 6.808 11.425 8.105
O 6.808 16.336 2.616
O 6.896 2.719 4.309
O 6.896 6.534 9.798
O 6.989 4.391 8.700
O 6.989 4.863 3.211
O 7.211 9.333 2.653
O 7.211 18.427 8.141
O 7.513 3.625 6.476
O 7.513 5.629 0.987
O 7.592 1.200 6.094
O 7.592 8.053 0.605
O 7.974 9.787 6.738
O 7.974 17.974 1.249
O 8.189 2.828 10.755
O 8.189 6.426 5.266
O 8.543 11.914 0.389
O 8.543 15.847 5.877
O 8.755 3.209 2.796
O 8.755 6.044 8.285
```

Results
The formation energy is -2.34 eV/atom. The value obtained for the total energy is -1213.60 eV for the cell shown. The calculation puts the volume at 1804.3 Å³/cell.



(2)
A plane-wave DFT calculation with PBE-GGA was carried out for crystalline BaCr2As2 at its relaxed geometry.

extended XYZ file:
```
10
Lattice="4.130 0.000 0.000 0.000 4.130 0.000 0.000 0.000 12.993" Properties=species:S:1:pos:R:3 pbc="T T T"
Ba 0.000 0.000 0.000
Ba 2.065 2.065 6.497
Cr 0.000 2.065 3.248
Cr 0.000 2.065 9.745
Cr 2.065 0.000 3.248
Cr 2.065 0.000 9.745
As 0.000 0.000 4.571
As 0.000 0.000 8.422
As 2.065 2.065 1.926
As 2.065 2.065 11.068
```

Results
The formation energy is -0.46 eV/atom. The value obtained for the total energy is -65.72 eV for the cell shown. The calculation puts the volume at 221.6 Å³/cell.



(3)
A plane-wave DFT calculation with PBE-GGA was carried out for crystalline RbBaMg6 at its relaxed geometry.

extended XYZ file:
```
16
Lattice="-1.870 0.194 4.893 0.200 -7.089 0.357 13.314 0.631 5.062" Properties=species:S:1:pos:R:3 pbc="T T T"
Mg 11.431 0.542 4.346
Rb 8.191 -3.020 6.057
Mg 7.356 -5.025 3.010
Mg 11.589 -3.000 4.547
Mg 4.832 0.229 1.837
Ba 8.031 0.522 5.856
Mg 7.253 -1.381 2.826
Rb 1.434 0.209 3.348
Mg 11.396 -1.047 7.203
Mg 4.874 -3.318 1.994
Mg 0.696 -5.241 0.473
Mg 4.742 -1.456 4.677
Mg 4.839 -4.906 4.851
Mg 0.598 -1.796 0.300
Mg 11.499 -4.685 7.387
Ba 1.474 -3.338 3.503
```

Results
The formation energy is 0.19 eV/atom. The value obtained for the total energy is -22.02 eV for the cell shown. The calculation puts the volume at 530.7 Å³/cell. The energy above the most stable polymorph in this dataset is 0.0 meV per atom.



(4)
A plane-wave DFT calculation with PBE-GGA was carried out for crystalline SiO2 at its relaxed geometry.

extended XYZ file:
```
36
Lattice="0.000 9.663 7.542 4.664 0.000 7.542 4.664 9.663 0.000" Properties=species:S:1:pos:R:3 pbc="T T T"
Si 6.276 6.208 5.489
Si 7.759 8.075 7.542
Si 3.082 6.169 2.409
Si 1.582 3.495 2.409
Si 7.759 11.251 7.542
Si 3.052 6.208 5.489
Si 6.276 13.118 5.489
Si 7.745 13.158 9.951
Si 3.052 13.118 5.489
Si 1.568 8.075 7.542
Si 6.246 15.832 9.951
Si 1.568 11.251 7.542
O 1.941 2.234 1.451
O 4.664 1.869 7.176
O 6.807 7.437 6.397
O 2.332 4.832 1.874
O 4.664 6.064 5.642
O 2.723 7.429 1.451
O 7.467 9.663 7.615
O 2.022 3.146 3.939
O 6.807 11.889 6.397
O 2.641 6.518 3.939
O 4.664 3.810 9.901
O 2.332 4.832 5.983
O 7.387 11.897 8.993
O 2.520 7.437 6.397
O 4.664 13.263 5.642
O 6.996 14.495 9.416
O 7.305 12.809 11.480
O 2.520 11.889 6.397
O 6.604 17.092 8.993
O 1.861 9.663 7.615
O 4.664 17.457 7.176
O 6.686 16.181 11.480
O 6.996 14.495 13.525
O 4.664 15.516 9.901
```

Results
The formation energy is -3.25 eV/atom. The value obtained for the total energy is -284.50 eV for the cell shown. The calculation puts the volume at 679.8 Å³/cell.